A relaxed Ba2YTlNi2O7 crystal. Source: the Materials Project, functional GGA+U.

Calculated values
energy relative to the elements = -2679 kJ/mol of formula units
total energy after the MP2020 corrections = -86.633 eV per formula unit
VASP energy = -76.7 eV/cell

Geometry as extended XYZ:
```
13
Lattice="-2.2231 -1.5547 2.7762 3.0014 -2.1492 1.1998 3.5232 9.4490 8.1126" Properties=species:S:1:pos:R:3 pbc="T T T"
Ba 0.7253 1.9452 1.6701
Ba 2.7979 7.5038 6.4425
Y 1.7616 4.7245 4.0563
Tl 0.3891 -1.8520 1.9880
Ni 1.7060 1.6798 5.0203
Ni 2.5954 4.0653 7.0684
O 0.9610 -0.3182 3.3048
O 0.2567 2.8923 4.5387
O 2.8689 2.5950 3.7505
O 3.6556 4.7048 5.5619
O 0.0000 0.0000 0.0000
O 1.0434 5.0021 6.3501
O 3.3404 6.0634 8.7839
```